1.
# MgCo4S8 (PBE, optimized geometry)
# Calculated total energy in eV/atom: -5.293
# Excess energy over the best structure of this formula in the dataset in kJ/mol of atoms: 0.0
# Calculated formation energy in kJ per mole of atoms: -72.0
data_MgCo4S8
_chemical_formula_sum 'Mg3 Co12 S24'
_cell_length_a 6.6731
_cell_length_b 6.6731
_cell_length_c 17.7366
_cell_angle_alpha 90.00
_cell_angle_beta 90.00
_cell_angle_gamma 120.00
_symmetry_space_group_name_H-M 'R -3 m'
_symmetry_Int_Tables_number 166
_symmetry_space_group_name_Hall '-R 3 2"'
loop_
_atom_site_label
_atom_site_fract_x
_atom_site_fract_y
_atom_site_fract_z
Mg1 0.0000 0.0000 0.0000
Co1 0.0000 0.0000 0.5000
Co2 0.0000 0.5000 0.5000
S1 0.0000 0.0000 0.2337
S2 0.0043 0.5022 0.7665

2.
# MgCo2S4 (PBE, optimized geometry)
# Calculated total energy in eV/atom: -5.192
# Excess energy over the best structure of this formula in the dataset in kJ/mol of atoms: 6.1
# Calculated formation energy in kJ per mole of atoms: -82.6
data_MgCo2S4
_chemical_formula_sum 'Mg4 Co8 S16'
_cell_length_a 6.8328
_cell_length_b 6.9967
_cell_length_c 9.6324
_cell_angle_alpha 90.00
_cell_angle_beta 90.00
_cell_angle_gamma 90.00
_symmetry_space_group_name_H-M 'I m m a'
_symmetry_Int_Tables_number 74
_symmetry_space_group_name_Hall '-I 2b 2'
loop_
_atom_site_label
_atom_site_fract_x
_atom_site_fract_y
_atom_site_fract_z
Mg1 0.0000 0.0000 0.0000
Co1 0.0000 0.0000 0.5000
Co2 0.2500 0.2500 0.2500
S1 0.0000 0.0339 0.2616
S2 0.2195 0.2500 0.4839

3.
# MgCo4S8 (PBE, optimized geometry)
# Calculated total energy in eV/atom: -5.139
# Excess energy over the best structure of this formula in the dataset in kJ/mol of atoms: 14.8
# Calculated formation energy in kJ per mole of atoms: -57.2
data_MgCo4S8
_chemical_formula_sum 'Mg1 Co4 S8'
_cell_length_a 5.3430
_cell_length_b 5.3788
_cell_length_c 7.4694
_cell_angle_alpha 88.23
_cell_angle_beta 84.48
_cell_angle_gamma 89.89
_symmetry_space_group_name_H-M 'P 1'
_symmetry_Int_Tables_number 1
loop_
_symmetry_equiv_pos_as_xyz
'x,y,z'
loop_
_atom_site_label
_atom_site_fract_x
_atom_site_fract_y
_atom_site_fract_z
Mg1 0.0000 0.0000 0.0000
Co1 0.2663 0.2827 0.7234
Co2 0.3012 0.7977 0.3714
Co3 0.7517 0.7853 0.7208
Co4 0.8133 0.2978 0.3693
S1 0.1510 0.8994 0.6605
S2 0.1901 0.1668 0.2740
S3 0.3683 0.6482 0.8289
S4 0.4226 0.4130 0.4291
S5 0.6200 0.1494 0.8234
S6 0.6801 0.9130 0.4288
S7 0.8864 0.4030 0.6651
S8 0.9414 0.6721 0.2677

4.
# MgCo4S8 (PBE, optimized geometry)
# Calculated total energy in eV/atom: -4.984
# Excess energy over the best structure of this formula in the dataset in kJ/mol of atoms: 29.8
# Calculated formation energy in kJ per mole of atoms: -42.2
data_MgCo4S8
_chemical_formula_sum 'Mg1 Co4 S8'
_cell_length_a 5.7910
_cell_length_b 5.8009
_cell_length_c 5.8172
_cell_angle_alpha 88.21
_cell_angle_beta 88.13
_cell_angle_gamma 88.22
_symmetry_space_group_name_H-M 'P 1'
_symmetry_Int_Tables_number 1
loop_
_symmetry_equiv_pos_as_xyz
'x,y,z'
loop_
_atom_site_label
_atom_site_fract_x
_atom_site_fract_y
_atom_site_fract_z
Mg1 0.0000 0.0000 0.0000
Co1 0.2964 0.3188 0.8020
Co2 0.3180 0.8027 0.2965
Co3 0.7649 0.7654 0.7630
Co4 0.8037 0.2968 0.3190
S1 0.2003 0.8966 0.6595
S2 0.2180 0.2183 0.2191
S3 0.4016 0.6884 0.8994
S4 0.4231 0.4226 0.4221
S5 0.6594 0.2008 0.8954
S6 0.6884 0.9007 0.4007
S7 0.8983 0.6598 0.2022
S8 0.9007 0.4019 0.6883

5.
# MgCo2S5 (PBE, optimized geometry)
# Calculated total energy in eV/atom: -5.005
# Calculated formation energy in kJ per mole of atoms: -73.1
data_MgCo2S5
_chemical_formula_sum 'Mg2 Co4 S10'
_cell_length_a 3.6082
_cell_length_b 13.2567
_cell_length_c 6.3739
_cell_angle_alpha 90.00
_cell_angle_beta 90.00
_cell_angle_gamma 90.00
_symmetry_space_group_name_H-M 'P m m n'
_symmetry_Int_Tables_number 59
loop_
_symmetry_equiv_pos_as_xyz
'x,y,z'
'-x,-y,-z'
'-x+1/2,-y+1/2,z'
'x+1/2,y+1/2,-z'
'x+1/2,-y,-z'
'-x+1/2,y,z'
'-x,y+1/2,-z'
'x,-y+1/2,z'
loop_
_atom_site_label
_atom_site_fract_x
_atom_site_fract_y
_atom_site_fract_z
Mg1 0.2500 0.2500 0.1137
Co1 0.2500 0.6013 0.4555
S1 0.2500 0.0578 0.3605
S2 0.2500 0.6690 0.1477
S3 0.2500 0.7500 0.6186

6.
# MgCo2S4 (PBE, optimized geometry)
# Calculated total energy in eV/atom: -5.111
# Excess energy over the best structure of this formula in the dataset in kJ/mol of atoms: 13.8
# Calculated formation energy in kJ per mole of atoms: -74.8
data_MgCo2S4
_chemical_formula_sum 'Mg4 Co8 S16'
_cell_length_a 6.8603
_cell_length_b 6.9317
_cell_length_c 9.7076
_cell_angle_alpha 90.00
_cell_angle_beta 90.00
_cell_angle_gamma 90.00
_symmetry_space_group_name_H-M 'I m m a'
_symmetry_Int_Tables_number 74
_symmetry_space_group_name_Hall '-I 2b 2'
loop_
_atom_site_label
_atom_site_fract_x
_atom_site_fract_y
_atom_site_fract_z
Mg1 0.2500 0.2500 0.2500
Co1 0.0000 0.0000 0.0000
Co2 0.0000 0.2500 0.6231
S1 0.0000 0.0091 0.7644
S2 0.2249 0.2500 0.9916

7.
# MgCo4Sb4S4 (PBE, optimized geometry)
# Calculated total energy in eV/atom: -4.966
# Excess energy over the best structure of this formula in the dataset in kJ/mol of atoms: 2.8
# Calculated formation energy in kJ per mole of atoms: -25.8
data_MgCo4Sb4S4
_chemical_formula_sum 'Mg3 Co12 Sb12 S12'
_cell_length_a 8.5883
_cell_length_b 8.5883
_cell_length_c 10.6155
_cell_angle_alpha 90.00
_cell_angle_beta 90.00
_cell_angle_gamma 120.00
_symmetry_space_group_name_H-M 'R 3'
_symmetry_Int_Tables_number 146
_symmetry_space_group_name_Hall 'R 3'
loop_
_atom_site_label
_atom_site_fract_x
_atom_site_fract_y
_atom_site_fract_z
Mg1 0.0000 0.0000 0.0000
Co1 0.0000 0.0000 0.2343
Co2 0.1393 0.7967 0.5351
Sb1 0.0000 0.0000 0.5538
Sb2 0.0614 0.3818 0.7641
S1 0.0000 0.0000 0.7918
S2 0.0932 0.6837 0.0000

8.
# MgCo4Sb4S4 (PBE, optimized geometry)
# Calculated total energy in eV/atom: -4.995
# Excess energy over the best structure of this formula in the dataset in kJ/mol of atoms: 0.0
# Calculated formation energy in kJ per mole of atoms: -28.6
data_MgCo4Sb4S4
_chemical_formula_sum 'Mg3 Co12 Sb12 S12'
_cell_length_a 8.2954
_cell_length_b 8.2954
_cell_length_c 11.6065
_cell_angle_alpha 90.00
_cell_angle_beta 90.00
_cell_angle_gamma 120.00
_symmetry_space_group_name_H-M 'R 3'
_symmetry_Int_Tables_number 146
_symmetry_space_group_name_Hall 'R 3'
loop_
_atom_site_label
_atom_site_fract_x
_atom_site_fract_y
_atom_site_fract_z
Mg1 0.0000 0.0000 0.0000
Co1 0.0000 0.0000 0.7837
Co2 0.1633 0.8209 0.1438
Sb1 0.0000 0.0000 0.2219
Sb2 0.0756 0.4076 0.3363
S1 0.0000 0.0000 0.4417
S2 0.0949 0.6835 0.5555

9.
# MgTiCoS4 (PBE, optimized geometry)
# Calculated total energy in eV/atom: -5.676
# Calculated formation energy in kJ per mole of atoms: -118.4
data_MgTiCoS4
_chemical_formula_sum 'Mg4 Ti4 Co4 S16'
_cell_length_a 12.3154
_cell_length_b 7.2607
_cell_length_c 7.0932
_cell_angle_alpha 90.00
_cell_angle_beta 125.07
_cell_angle_gamma 90.00
_symmetry_space_group_name_H-M 'C 1 2/m 1'
_symmetry_Int_Tables_number 12
loop_
_symmetry_equiv_pos_as_xyz
'x,y,z'
'-x,-y,-z'
'-x,y,-z'
'x,-y,z'
'x+1/2,y+1/2,z'
'-x+1/2,-y+1/2,-z'
'-x+1/2,y+1/2,-z'
'x+1/2,-y+1/2,z'
loop_
_atom_site_label
_atom_site_fract_x
_atom_site_fract_y
_atom_site_fract_z
Mg1 0.1266 0.0000 0.3766
Ti1 0.0000 0.5000 0.0000
Ti2 0.0000 0.5000 0.5000
Co1 0.2500 0.2500 0.0000
S1 0.0192 0.2663 0.7694
S2 0.2424 0.5000 0.2039
S3 0.2425 0.5000 0.7808

10.
# MgVCoS4 (PBE, optimized geometry)
# Calculated total energy in eV/atom: -5.685
# Calculated formation energy in kJ per mole of atoms: -102.9
data_MgVCoS4
_chemical_formula_sum 'Mg4 V4 Co4 S16'
_cell_length_a 7.0026
_cell_length_b 7.1766
_cell_length_c 10.1268
_cell_angle_alpha 90.00
_cell_angle_beta 90.00
_cell_angle_gamma 90.00
_symmetry_space_group_name_H-M 'I m m a'
_symmetry_Int_Tables_number 74
_symmetry_space_group_name_Hall '-I 2b 2'
loop_
_atom_site_label
_atom_site_fract_x
_atom_site_fract_y
_atom_site_fract_z
Mg1 0.0000 0.2500 0.1254
V1 0.2500 0.2500 0.7500
Co1 0.0000 0.0000 0.5000
S1 0.0000 0.0189 0.7287
S2 0.2106 0.2500 0.5099

11.
# Mg2CoW3S8 (PBE, optimized geometry)
# Calculated total energy in eV/atom: -6.541
# Calculated formation energy in kJ per mole of atoms: -91.8
data_Mg2CoW3S8
_chemical_formula_sum 'Mg2 Co1 W3 S8'
_cell_length_a 6.9074
_cell_length_b 6.9162
_cell_length_c 7.3775
_cell_angle_alpha 117.90
_cell_angle_beta 90.06
_cell_angle_gamma 119.91
_symmetry_space_group_name_H-M 'P 1'
_symmetry_Int_Tables_number 1
loop_
_symmetry_equiv_pos_as_xyz
'x,y,z'
loop_
_atom_site_label
_atom_site_fract_x
_atom_site_fract_y
_atom_site_fract_z
Mg1 0.0000 0.0000 0.0000
Mg2 0.2468 0.4932 0.7391
Co1 0.6525 0.3050 0.9574
W1 0.1992 0.8054 0.4120
W2 0.6063 0.8056 0.4121
W3 0.6067 0.2130 0.4119
S1 0.3788 0.7581 0.1360
S2 0.4244 0.2680 0.6929
S3 0.4247 0.3081 0.1905
S4 0.4250 0.8495 0.6936
S5 0.8442 0.2680 0.6928
S6 0.8672 0.7339 0.6015
S7 0.8829 0.3079 0.1899
S8 0.8829 0.7659 0.1901

12.
# MgZnCo4S8 (PBE, optimized geometry)
# Calculated total energy in eV/atom: -5.035
# Excess energy over the best structure of this formula in the dataset in kJ/mol of atoms: 10.8
# Calculated formation energy in kJ per mole of atoms: -69.8
data_MgZnCo4S8
_chemical_formula_sum 'Mg2 Zn2 Co8 S16'
_cell_length_a 11.7662
_cell_length_b 6.8338
_cell_length_c 6.9560
_cell_angle_alpha 90.00
_cell_angle_beta 125.91
_cell_angle_gamma 90.00
_symmetry_space_group_name_H-M 'C 1 2/m 1'
_symmetry_Int_Tables_number 12
loop_
_symmetry_equiv_pos_as_xyz
'x,y,z'
'-x,-y,-z'
'-x,y,-z'
'x,-y,z'
'x+1/2,y+1/2,z'
'-x+1/2,-y+1/2,-z'
'-x+1/2,y+1/2,-z'
'x+1/2,-y+1/2,z'
loop_
_atom_site_label
_atom_site_fract_x
_atom_site_fract_y
_atom_site_fract_z
Mg1 0.0000 0.0000 0.0000
Zn1 0.0000 0.0000 0.5000
Co1 0.0000 0.5000 0.0000
Co2 0.0000 0.5000 0.5000
Co3 0.2500 0.2500 0.0000
S1 0.0156 0.2798 0.7644
S2 0.2387 0.5000 0.7717
S3 0.2441 0.5000 0.2061

calculated formation energy of number 4 (MgCo4S8)? -42.2 kJ per mole of atoms

Number 9 is which compound? MgTiCoS4